1.
! Na10TaGa7P12O48, optimized geometry, DFT PBE-GGA; values from VASP
&SYSTEM
  ibrav = 0, nat = 234, ntyp = 5
/
ATOMIC_SPECIES
Na 22.99 Na.upf
Ta 180.95 Ta.upf
Ga 69.72 Ga.upf
P 30.97 P.upf
O 16.00 O.upf
ATOMIC_POSITIONS crystal
Na 0.000 0.000 0.000
Na 0.000 0.334 0.332
Na 0.000 0.634 0.000
Na 0.134 0.500 0.500
Na 0.135 0.134 0.500
Na 0.135 0.833 0.832
Na 0.136 0.468 0.832
Na 0.182 0.817 0.500
Na 0.310 0.651 0.586
Na 0.314 0.987 0.413
Na 0.317 0.650 0.082
Na 0.318 0.312 0.750
Na 0.322 0.986 0.913
Na 0.323 0.317 0.248
Na 0.450 0.484 0.668
Na 0.452 0.817 0.000
Na 0.499 0.800 0.668
Na 0.500 0.134 0.000
Na 0.500 0.500 0.999
Na 0.500 0.834 0.332
Na 0.634 0.000 0.500
Na 0.635 0.634 0.500
Na 0.682 0.317 0.500
Na 0.810 0.484 0.913
Na 0.814 0.487 0.413
Na 0.817 0.150 0.082
Na 0.817 0.816 0.750
Na 0.818 0.150 0.583
Na 0.823 0.817 0.248
Na 0.952 0.317 0.000
Ta 0.316 0.650 0.227
Ta 0.816 0.150 0.227
Ta 0.818 0.150 0.730
Ga 0.311 0.651 0.733
Ga 0.313 0.314 0.603
Ga 0.313 0.987 0.266
Ga 0.315 0.985 0.569
Ga 0.317 0.317 0.103
Ga 0.317 0.650 0.431
Ga 0.317 0.984 0.068
Ga 0.319 0.650 0.930
Ga 0.320 0.986 0.768
Ga 0.323 0.315 0.897
Ga 0.323 0.317 0.397
Ga 0.809 0.816 0.897
Ga 0.813 0.485 0.768
Ga 0.813 0.487 0.266
Ga 0.816 0.150 0.931
Ga 0.817 0.150 0.431
Ga 0.817 0.484 0.068
Ga 0.817 0.817 0.103
Ga 0.820 0.484 0.569
Ga 0.823 0.817 0.397
Ga 0.825 0.817 0.603
P 0.023 0.651 0.833
P 0.028 0.317 0.499
P 0.030 0.980 0.165
P 0.106 0.817 0.999
P 0.107 0.484 0.667
P 0.112 0.148 0.334
P 0.168 0.797 0.334
P 0.169 0.839 0.667
P 0.170 0.504 0.334
P 0.173 0.173 0.000
P 0.173 0.461 0.000
P 0.178 0.129 0.666
P 0.455 0.130 0.165
P 0.461 0.173 0.500
P 0.462 0.462 0.500
P 0.466 0.505 0.833
P 0.466 0.796 0.832
P 0.467 0.842 0.166
P 0.523 0.150 0.835
P 0.528 0.817 0.500
P 0.530 0.480 0.166
P 0.606 0.317 0.000
P 0.606 0.983 0.666
P 0.612 0.648 0.334
P 0.668 0.297 0.334
P 0.670 0.004 0.334
P 0.671 0.340 0.666
P 0.673 0.673 0.000
P 0.673 0.962 0.000
P 0.675 0.630 0.667
P 0.955 0.630 0.165
P 0.961 0.962 0.500
P 0.962 0.673 0.499
P 0.963 0.297 0.835
P 0.964 0.004 0.835
P 0.967 0.342 0.166
O 0.002 0.166 0.279
O 0.005 0.798 0.055
O 0.009 0.468 0.724
O 0.010 0.836 0.942
O 0.013 0.134 0.392
O 0.013 0.500 0.608
O 0.121 0.002 0.108
O 0.122 0.631 0.891
O 0.124 0.336 0.441
O 0.127 0.670 0.778
O 0.128 0.298 0.554
O 0.128 0.967 0.223
O 0.136 0.638 0.174
O 0.139 0.329 0.160
O 0.139 0.662 0.493
O 0.139 0.972 0.506
O 0.139 0.994 0.826
O 0.140 0.306 0.839
O 0.192 0.074 0.607
O 0.192 0.404 0.942
O 0.193 0.232 0.056
O 0.194 0.561 0.392
O 0.197 0.896 0.724
O 0.203 0.736 0.279
O 0.205 0.236 0.339
O 0.211 0.066 0.326
O 0.211 0.901 0.006
O 0.212 0.733 0.993
O 0.214 0.401 0.660
O 0.214 0.566 0.672
O 0.244 0.411 0.339
O 0.245 0.222 0.660
O 0.245 0.556 0.993
O 0.246 0.078 0.006
O 0.246 0.551 0.279
O 0.247 0.086 0.722
O 0.248 0.757 0.391
O 0.249 0.877 0.609
O 0.250 0.746 0.672
O 0.250 0.888 0.326
O 0.252 0.213 0.943
O 0.252 0.421 0.055
O 0.382 0.212 0.443
O 0.384 0.413 0.839
O 0.384 0.888 0.826
O 0.385 0.423 0.557
O 0.385 0.545 0.776
O 0.385 0.757 0.890
O 0.388 0.087 0.223
O 0.388 0.878 0.108
O 0.389 0.078 0.506
O 0.389 0.223 0.160
O 0.389 0.556 0.493
O 0.389 0.747 0.174
O 0.423 0.400 0.160
O 0.423 0.733 0.493
O 0.423 0.901 0.506
O 0.425 0.066 0.826
O 0.426 0.235 0.838
O 0.426 0.566 0.174
O 0.437 0.896 0.224
O 0.438 0.739 0.775
O 0.440 0.402 0.444
O 0.440 0.561 0.891
O 0.442 0.073 0.107
O 0.442 0.232 0.556
O 0.494 0.304 0.339
O 0.495 0.331 0.659
O 0.495 0.662 0.993
O 0.495 0.973 0.006
O 0.495 0.993 0.326
O 0.496 0.639 0.672
O 0.502 0.666 0.279
O 0.505 0.965 0.721
O 0.507 0.297 0.056
O 0.508 0.337 0.944
O 0.513 0.002 0.607
O 0.513 0.634 0.392
O 0.621 0.134 0.892
O 0.621 0.502 0.108
O 0.625 0.836 0.442
O 0.626 0.799 0.556
O 0.628 0.467 0.223
O 0.633 0.164 0.778
O 0.636 0.138 0.174
O 0.639 0.162 0.493
O 0.639 0.829 0.160
O 0.640 0.473 0.506
O 0.640 0.805 0.839
O 0.641 0.495 0.826
O 0.691 0.572 0.608
O 0.692 0.732 0.056
O 0.693 0.902 0.944
O 0.694 0.061 0.392
O 0.695 0.399 0.721
O 0.703 0.236 0.279
O 0.705 0.736 0.339
O 0.707 0.899 0.659
O 0.710 0.067 0.673
O 0.711 0.566 0.326
O 0.712 0.234 0.993
O 0.712 0.401 0.006
O 0.742 0.724 0.659
O 0.744 0.911 0.339
O 0.745 0.056 0.993
O 0.745 0.246 0.673
O 0.745 0.377 0.607
O 0.745 0.578 0.006
O 0.746 0.051 0.279
O 0.748 0.257 0.391
O 0.748 0.587 0.722
O 0.750 0.388 0.326
O 0.752 0.712 0.944
O 0.752 0.922 0.056
O 0.882 0.712 0.443
O 0.882 0.922 0.555
O 0.888 0.378 0.108
O 0.888 0.587 0.222
O 0.889 0.051 0.779
O 0.889 0.056 0.493
O 0.889 0.247 0.174
O 0.889 0.578 0.506
O 0.889 0.723 0.159
O 0.890 0.256 0.892
O 0.890 0.911 0.839
O 0.892 0.390 0.826
O 0.922 0.233 0.493
O 0.923 0.401 0.506
O 0.923 0.900 0.160
O 0.926 0.066 0.174
O 0.927 0.565 0.827
O 0.927 0.736 0.840
O 0.931 0.236 0.779
O 0.937 0.396 0.224
O 0.939 0.061 0.892
O 0.942 0.573 0.107
O 0.942 0.732 0.555
O 0.942 0.902 0.443
O 0.994 0.804 0.339
O 0.995 0.162 0.993
O 0.995 0.472 0.006
O 0.995 0.493 0.326
O 0.995 0.830 0.660
O 0.998 0.138 0.674
CELL_PARAMETERS angstrom
8.708 0.000 0.000
0.000 15.068 0.000
0.006 0.016 22.055
! E: -6.662 eV/atom
! Mass density: 3.5 g/cm3

2.
! SrYMg6, optimized geometry, DFT PBE-GGA; values from VASP
&SYSTEM
  ibrav = 0, nat = 8, ntyp = 3
/
ATOMIC_SPECIES
Sr 87.62 Sr.upf
Y 88.91 Y.upf
Mg 24.30 Mg.upf
ATOMIC_POSITIONS crystal
Sr 0.000 0.000 0.000
Y 0.500 0.500 0.000
Mg 0.000 0.500 0.000
Mg 0.263 0.263 0.500
Mg 0.263 0.737 0.500
Mg 0.500 0.000 0.000
Mg 0.737 0.263 0.500
Mg 0.737 0.737 0.500
CELL_PARAMETERS angstrom
6.753 0.000 0.000
0.000 6.753 0.000
0.000 0.000 4.848
! Mass density: 2.4 g/cm3
! Excess energy over the best structure of this formula in the dataset: 19 meV per atom